Record 1
16
Lattice="-4.1212 2.0661 -2.6972 -4.2421 -0.3627 6.2039 2.4615 7.6943 2.1329" Properties=species:S:1:pos:R:3 comment="In3Ir r²SCAN optimized geometry" sg="No. 62" ef_mev_per_atom=-275 mass_density_g_cm3=10.616 pbc="T T T"
In -2.6554 5.4567 1.5227
In -0.5673 5.7623 4.4153
In -4.7624 8.7626 4.8381
In -5.3345 3.6354 1.2242
In -1.1394 0.6351 0.8014
In -4.0745 6.2758 6.6101
In -3.2464 3.9411 4.1169
In -1.8273 3.1219 -0.9705
In -5.7258 5.7512 4.0033
In -1.6921 8.4680 2.3575
In -0.1761 3.6465 1.6362
In -4.2098 0.9297 3.2821
Ir -2.7719 2.6934 1.6652
Ir -3.1300 6.7043 3.9744
Ir -2.5590 7.6628 -0.1420
Ir -3.3429 1.7350 5.7816

Record 2
16
Lattice="7.0471 0.0000 0.0000 0.0000 7.0471 0.0000 0.0000 0.0000 7.2687" Properties=species:S:1:pos:R:3 comment="In3Ir r²SCAN optimized geometry" sg="No. 136" ef_mev_per_atom=-271 mass_density_g_cm3=9.875 pbc="T T T"
In 5.9918 5.9918 1.8681
In 4.5789 2.4682 5.5025
In 4.5789 2.4682 1.7662
In 3.5236 7.0471 0.0000
In 2.4682 4.5789 1.7662
In 2.4682 4.5789 5.5025
In 0.0000 3.5236 0.0000
In 1.0553 1.0553 1.8681
In 1.0553 1.0553 5.4006
In 3.5236 7.0471 3.6344
In 5.9918 5.9918 5.4006
In 0.0000 3.5236 3.6344
Ir 4.6359 4.6359 0.0000
Ir 1.1123 5.9348 3.6344
Ir 5.9348 1.1123 3.6344
Ir 2.4113 2.4113 0.0000

Record 3
7
Lattice="4.7197 0.0000 0.0000 0.0000 4.7197 0.0000 0.0000 0.0000 7.6300" Properties=species:S:1:pos:R:3 comment="LaIn5Ir r²SCAN optimized geometry" sg="No. 123" ef_mev_per_atom=-540 mass_density_g_cm3=8.844 pbc="T T T"
La 0.0000 0.0000 0.0000
In 2.3598 0.0000 5.2866
In 0.0000 2.3598 5.2866
In 2.3598 2.3598 0.0000
In 0.0000 2.3598 2.3434
In 2.3598 0.0000 2.3434
Ir 0.0000 0.0000 3.8150